{"formula": "Zn3CrH80S8N8O56", "functional": "PBE with a Hubbard U", "state": "relaxed", "crystal_system": "triclinic", "total_energy_ev_per_atom": -5.2606, "cell": [[9.613, 0.000, 0.000], [-4.659, 11.822, 0.000], [-2.446, -5.908, 12.515]], "species": ["Zn", "Zn", "Zn", "Cr", "H", "H", "H", "H", "H", "H", "H", "H", "H", "H", "H", "H", "H", "H", "H", "H", "H", "H", "H", "H", "H", "H", "H", "H", "H", "H", "H", "H", "H", "H", "H", "H", "H", "H", "H", "H", "H", "H", "H", "H", "H", "H", "H", "H", "H", "H", "H", "H", "H", "H", "H", "H", "H", "H", "H", "H", "H", "H", "H", "H", "H", "H", "H", "H", "H", "H", "H", "H", "H", "H", "H", "H", "H", "H", "H", "H", "H", "H", "H", "H", "S", "S", "S", "S", "S", "S", "S", "S", "N", "N", "N", "N", "N", "N", "N", "N", "O", "O", "O", "O", "O", "O", "O", "O", "O", "O", "O", "O", "O", "O", "O", "O", "O", "O", "O", "O", "O", "O", "O", "O", "O", "O", "O", "O", "O", "O", "O", "O", "O", "O", "O", "O", "O", "O", "O", "O", "O", "O", "O", "O", "O", "O", "O", "O", "O", "O", "O", "O", "O", "O", "O", "O"], "frac_coords": [[0.000, 0.000, 0.000], [0.000, 0.500, 0.500], [0.500, 0.000, 0.500], [0.500, 0.500, 0.000], [0.018, 0.186, 0.579], [0.021, 0.162, 0.189], [0.033, 0.604, 0.830], [0.045, 0.274, 0.708], [0.061, 0.392, 0.079], [0.076, 0.147, 0.678], [0.088, 0.187, 0.941], [0.100, 0.077, 0.855], [0.101, 0.531, 0.178], [0.115, 0.848, 0.902], [0.117, 0.359, 0.380], [0.148, 0.746, 0.559], [0.163, 0.433, 0.207], [0.168, 0.527, 0.689], [0.177, 0.409, 0.910], [0.203, 0.273, 0.670], [0.213, 0.446, 0.598], [0.230, 0.503, 0.412], [0.237, 0.979, 0.120], [0.245, 0.722, 0.645], [0.255, 0.778, 0.355], [0.258, 0.521, 0.879], [0.270, 0.997, 0.588], [0.287, 0.054, 0.402], [0.297, 0.227, 0.331], [0.318, 0.091, 0.088], [0.332, 0.973, 0.311], [0.337, 0.067, 0.793], [0.352, 0.754, 0.441], [0.383, 0.141, 0.620], [0.384, 0.654, 0.100], [0.398, 0.969, 0.822], [0.399, 0.423, 0.146], [0.411, 0.312, 0.059], [0.424, 0.353, 0.322], [0.439, 0.108, 0.921], [0.456, 0.226, 0.293], [0.467, 0.896, 0.170], [0.480, 0.336, 0.810], [0.482, 0.314, 0.421], [0.518, 0.686, 0.579], [0.520, 0.664, 0.190], [0.533, 0.104, 0.830], [0.544, 0.774, 0.707], [0.561, 0.892, 0.079], [0.576, 0.647, 0.678], [0.589, 0.688, 0.941], [0.601, 0.577, 0.854], [0.602, 0.031, 0.178], [0.616, 0.346, 0.900], [0.617, 0.859, 0.380], [0.648, 0.246, 0.559], [0.663, 0.933, 0.207], [0.668, 0.027, 0.689], [0.682, 0.909, 0.912], [0.703, 0.773, 0.669], [0.713, 0.946, 0.598], [0.730, 0.003, 0.412], [0.742, 0.479, 0.121], [0.745, 0.222, 0.645], [0.755, 0.278, 0.355], [0.763, 0.021, 0.880], [0.770, 0.497, 0.588], [0.787, 0.554, 0.402], [0.797, 0.727, 0.330], [0.823, 0.591, 0.090], [0.832, 0.473, 0.311], [0.837, 0.567, 0.793], [0.852, 0.254, 0.441], [0.883, 0.641, 0.620], [0.885, 0.152, 0.098], [0.899, 0.469, 0.822], [0.900, 0.923, 0.145], [0.912, 0.813, 0.059], [0.924, 0.853, 0.322], [0.939, 0.608, 0.921], [0.955, 0.726, 0.292], [0.967, 0.396, 0.170], [0.979, 0.838, 0.811], [0.982, 0.814, 0.421], [0.009, 0.095, 0.368], [0.142, 0.727, 0.132], [0.359, 0.773, 0.868], [0.491, 0.405, 0.632], [0.509, 0.595, 0.368], [0.641, 0.227, 0.132], [0.858, 0.273, 0.868], [0.991, 0.905, 0.632], [0.074, 0.438, 0.159], [0.085, 0.221, 0.659], [0.415, 0.279, 0.341], [0.426, 0.062, 0.841], [0.574, 0.938, 0.159], [0.585, 0.721, 0.659], [0.915, 0.779, 0.341], [0.926, 0.562, 0.841], [0.008, 0.846, 0.886], [0.017, 0.299, 0.936], [0.079, 0.189, 0.325], [0.082, 0.864, 0.564], [0.106, 0.029, 0.724], [0.114, 0.116, 0.932], [0.119, 0.440, 0.392], [0.119, 0.695, 0.224], [0.123, 0.461, 0.614], [0.135, 0.081, 0.432], [0.182, 0.684, 0.568], [0.203, 0.649, 0.068], [0.227, 0.049, 0.108], [0.246, 0.637, 0.825], [0.255, 0.864, 0.175], [0.263, 0.448, 0.885], [0.297, 0.851, 0.932], [0.318, 0.816, 0.432], [0.365, 0.419, 0.568], [0.377, 0.039, 0.386], [0.381, 0.060, 0.608], [0.382, 0.805, 0.776], [0.388, 0.385, 0.069], [0.394, 0.471, 0.275], [0.418, 0.636, 0.436], [0.421, 0.311, 0.675], [0.482, 0.200, 0.064], [0.491, 0.656, 0.116], [0.509, 0.344, 0.884], [0.518, 0.800, 0.936], [0.579, 0.689, 0.325], [0.582, 0.364, 0.564], [0.606, 0.529, 0.725], [0.612, 0.615, 0.931], [0.618, 0.195, 0.224], [0.619, 0.940, 0.392], [0.623, 0.961, 0.614], [0.635, 0.581, 0.432], [0.682, 0.184, 0.568], [0.703, 0.149, 0.068], [0.737, 0.552, 0.115], [0.745, 0.136, 0.825], [0.754, 0.363, 0.175], [0.773, 0.951, 0.892], [0.797, 0.351, 0.932], [0.818, 0.316, 0.432], [0.865, 0.919, 0.568], [0.877, 0.539, 0.386], [0.881, 0.305, 0.776], [0.881, 0.560, 0.608], [0.886, 0.884, 0.068], [0.894, 0.971, 0.276], [0.918, 0.136, 0.436], [0.921, 0.811, 0.675], [0.983, 0.701, 0.064], [0.992, 0.154, 0.114]]}